## K2SrVB5O12 (PBE+U)

Data for a relaxed K2SrVB5O12 crystal.

## Properties
The formation energy comes out at -2835 meV per atom. The corrected total energy (MP2020 scheme) comes out at -7.871 eV per atom. For the calculated volume, the calculation gives 573.62 Å³ per cell.

a = 6.724 Å, b = 8.575 Å, c = 10.097 Å
α = 90.00°, β = 99.81°, γ = 90.00°
Sites, in units of the cell vectors:
K  0.101  0.000  0.403
K  0.167  0.415  0.259
K  0.833  0.915  0.741
K  0.899  0.500  0.597
Sr  0.428  0.533  0.972
Sr  0.572  0.033  0.028
V  0.341  0.744  0.692
V  0.659  0.244  0.308
B  0.020  0.222  0.906
B  0.122  0.985  0.070
B  0.280  0.226  0.744
B  0.340  0.777  0.199
B  0.477  0.239  0.564
B  0.523  0.739  0.436
B  0.660  0.277  0.801
B  0.720  0.726  0.256
B  0.878  0.485  0.930
B  0.980  0.722  0.094
O  0.044  0.388  0.957
O  0.095  0.209  0.777
O  0.130  0.840  0.624
O  0.141  0.125  0.009
O  0.195  0.676  0.117
O  0.270  0.560  0.730
O  0.290  0.943  0.164
O  0.292  0.220  0.607
O  0.348  0.753  0.346
O  0.455  0.244  0.838
O  0.456  0.826  0.843
O  0.472  0.241  0.427
O  0.528  0.741  0.573
O  0.544  0.326  0.157
O  0.545  0.744  0.162
O  0.652  0.253  0.654
O  0.708  0.720  0.393
O  0.710  0.443  0.836
O  0.730  0.060  0.270
O  0.805  0.176  0.883
O  0.859  0.625  0.991
O  0.870  0.340  0.376
O  0.905  0.709  0.223
O  0.956  0.888  0.043

---

## Ag2Mo2O7 (PBE+U)

Data for a relaxed Ag2Mo2O7 crystal.

## Properties
The formation energy comes out at -1509 meV per atom. The corrected total energy (MP2020 scheme) comes out at -7.145 eV per atom. For the calculated volume, the calculation gives 316.18 Å³ per cell.

a = 6.173 Å, b = 7.747 Å, c = 7.761 Å
α = 111.66°, β = 110.37°, γ = 93.09°
Sites, in units of the cell vectors:
Ag  0.237  0.235  0.240
Ag  0.241  0.553  0.744
Ag  0.759  0.447  0.256
Ag  0.763  0.765  0.760
Mo  0.228  0.041  0.722
Mo  0.333  0.751  0.321
Mo  0.667  0.249  0.679
Mo  0.772  0.959  0.278
O  0.082  0.896  0.380
O  0.124  0.828  0.735
O  0.185  0.666  0.059
O  0.254  0.565  0.385
O  0.349  0.203  0.979
O  0.355  0.271  0.650
O  0.497  0.966  0.659
O  0.503  0.034  0.341
O  0.645  0.729  0.350
O  0.651  0.797  0.021
O  0.746  0.435  0.615
O  0.815  0.334  0.941
O  0.876  0.172  0.265
O  0.918  0.104  0.620

---

## LiVF3 (PBE+U)

Data for a relaxed LiVF3 crystal.

## Properties
The value obtained for the energy above the lowest structure with this stoichiometry is 35.0 meV per atom. The formation energy comes out at -3011 meV per atom. The corrected total energy (MP2020 scheme) comes out at -6.358 eV per atom. For the calculated volume, the calculation gives 1037.14 Å³ per cell.

a = 5.724 Å, b = 19.277 Å, c = 9.399 Å
α = 90.00°, β = 90.00°, γ = 90.00°
Sites, in units of the cell vectors:
Li  0.054  0.223  0.171
Li  0.054  0.277  0.671
Li  0.163  0.538  0.329
Li  0.163  0.962  0.829
Li  0.337  0.038  0.329
Li  0.337  0.462  0.829
Li  0.446  0.723  0.171
Li  0.446  0.777  0.671
Li  0.554  0.223  0.329
Li  0.554  0.277  0.829
Li  0.663  0.538  0.171
Li  0.663  0.962  0.671
Li  0.837  0.038  0.171
Li  0.837  0.462  0.671
Li  0.946  0.723  0.329
Li  0.946  0.777  0.829
V  0.159  0.620  0.657
V  0.159  0.880  0.157
V  0.168  0.621  0.021
V  0.168  0.879  0.521
V  0.332  0.121  0.021
V  0.332  0.379  0.521
V  0.341  0.120  0.657
V  0.341  0.380  0.157
V  0.659  0.620  0.843
V  0.659  0.880  0.343
V  0.668  0.621  0.479
V  0.668  0.879  0.979
V  0.832  0.121  0.479
V  0.832  0.379  0.979
V  0.841  0.120  0.843
V  0.841  0.380  0.343
F  0.009  0.174  0.663
F  0.009  0.326  0.163
F  0.020  0.178  0.991
F  0.020  0.322  0.491
F  0.129  0.693  0.183
F  0.129  0.807  0.683
F  0.161  0.056  0.163
F  0.161  0.444  0.663
F  0.166  0.072  0.488
F  0.166  0.428  0.988
F  0.176  0.066  0.833
F  0.176  0.434  0.333
F  0.324  0.566  0.833
F  0.324  0.934  0.333
F  0.334  0.572  0.488
F  0.334  0.928  0.988
F  0.339  0.556  0.163
F  0.339  0.944  0.663
F  0.371  0.193  0.183
F  0.371  0.307  0.683
F  0.480  0.678  0.991
F  0.480  0.822  0.491
F  0.491  0.674  0.663
F  0.491  0.826  0.163
F  0.509  0.174  0.837
F  0.509  0.326  0.337
F  0.520  0.178  0.509
F  0.520  0.322  0.009
F  0.629  0.693  0.317
F  0.629  0.807  0.817
F  0.661  0.056  0.337
F  0.661  0.444  0.837
F  0.666  0.072  0.012
F  0.666  0.428  0.512
F  0.676  0.066  0.667
F  0.676  0.434  0.167
F  0.824  0.566  0.667
F  0.824  0.934  0.167
F  0.834  0.572  0.012
F  0.834  0.928  0.512
F  0.839  0.556  0.337
F  0.839  0.944  0.837
F  0.871  0.193  0.317
F  0.871  0.307  0.817
F  0.980  0.678  0.509
F  0.980  0.822  0.009
F  0.991  0.674  0.837
F  0.991  0.826  0.337

---

## V4O3F9 (PBE+U)

Data for a relaxed V4O3F9 crystal.

## Properties
The value obtained for the energy above the lowest structure with this stoichiometry is 5.1 meV per atom. The formation energy comes out at -2950 meV per atom. The corrected total energy (MP2020 scheme) comes out at -7.225 eV per atom. For the calculated volume, the calculation gives 426.69 Å³ per cell.

a = 5.225 Å, b = 5.397 Å, c = 17.429 Å
α = 89.76°, β = 82.01°, γ = 61.52°
Sites, in units of the cell vectors:
V  0.000  0.000  0.000
V  0.016  0.517  0.500
V  0.231  0.357  0.123
V  0.252  0.881  0.629
V  0.495  0.240  0.748
V  0.527  0.715  0.243
V  0.738  0.601  0.867
V  0.756  0.141  0.369
O  0.139  0.184  0.040
O  0.156  0.697  0.541
O  0.326  0.030  0.702
O  0.667  0.451  0.794
O  0.704  0.415  0.314
O  0.817  0.567  0.170
F  0.169  0.395  0.836
F  0.178  0.899  0.332
F  0.210  0.665  0.057
F  0.220  0.170  0.556
F  0.265  0.561  0.686
F  0.274  0.041  0.188
F  0.317  0.833  0.910
F  0.320  0.524  0.210
F  0.331  0.317  0.413
F  0.657  0.135  0.084
F  0.667  0.642  0.582
F  0.670  0.945  0.289
F  0.727  0.920  0.811
F  0.759  0.307  0.938
F  0.790  0.809  0.433
F  0.822  0.083  0.661
F  0.826  0.777  0.955
F  0.836  0.285  0.459

---

## MgSi2WO6 (PBE+U)

Data for a relaxed MgSi2WO6 crystal.

## Properties
The value obtained for the energy above the lowest structure with this stoichiometry is 98.2 meV per atom. The formation energy comes out at -2480 meV per atom. The corrected total energy (MP2020 scheme) comes out at -7.990 eV per atom. For the calculated volume, the calculation gives 218.72 Å³ per cell.

a = 6.788 Å, b = 6.788 Å, c = 4.881 Å
α = 97.98°, β = 97.98°, γ = 81.65°
Sites, in units of the cell vectors:
Mg  0.232  0.768  0.750
Mg  0.768  0.232  0.250
Si  0.093  0.278  0.798
Si  0.278  0.093  0.298
Si  0.722  0.907  0.702
Si  0.907  0.722  0.202
W  0.433  0.567  0.250
W  0.567  0.433  0.750
O  0.072  0.195  0.102
O  0.121  0.650  0.364
O  0.195  0.072  0.602
O  0.250  0.444  0.863
O  0.350  0.879  0.136
O  0.444  0.250  0.363
O  0.556  0.750  0.637
O  0.650  0.121  0.864
O  0.750  0.556  0.137
O  0.805  0.928  0.398
O  0.879  0.350  0.636
O  0.928  0.805  0.898

---

## Co2OF3 (PBE+U)

Data for a relaxed Co2OF3 crystal.

## Properties
The value obtained for the energy above the lowest structure with this stoichiometry is 22.9 meV per atom. The formation energy comes out at -1957 meV per atom. The corrected total energy (MP2020 scheme) comes out at -6.109 eV per atom. For the calculated volume, the calculation gives 279.10 Å³ per cell.

a = 4.694 Å, b = 4.694 Å, c = 12.687 Å
α = 90.00°, β = 90.00°, γ = 86.61°
Sites, in units of the cell vectors:
Co  0.000  0.000  0.000
Co  0.000  0.000  0.500
Co  0.020  0.980  0.750
Co  0.475  0.525  0.625
Co  0.475  0.525  0.875
Co  0.525  0.475  0.125
Co  0.525  0.475  0.375
Co  0.980  0.020  0.250
O  0.198  0.802  0.622
O  0.198  0.802  0.878
O  0.802  0.198  0.122
O  0.802  0.198  0.378
F  0.213  0.787  0.126
F  0.213  0.787  0.374
F  0.300  0.310  0.750
F  0.305  0.305  0.000
F  0.305  0.305  0.500
F  0.310  0.300  0.250
F  0.690  0.700  0.750
F  0.695  0.695  0.000
F  0.695  0.695  0.500
F  0.700  0.690  0.250
F  0.787  0.213  0.626
F  0.787  0.213  0.874

---

## MgNi2O5 (PBE+U)

Data for a relaxed MgNi2O5 crystal.

## Properties
The value obtained for the energy above the lowest structure with this stoichiometry is 0.0 meV per atom. The formation energy comes out at -1109 meV per atom. The corrected total energy (MP2020 scheme) comes out at -5.846 eV per atom. For the calculated volume, the calculation gives 181.39 Å³ per cell.

a = 3.131 Å, b = 10.941 Å, c = 5.295 Å
α = 90.00°, β = 90.00°, γ = 90.00°
Sites, in units of the cell vectors:
Mg  0.250  0.250  0.123
Mg  0.750  0.750  0.877
Ni  0.250  0.604  0.454
Ni  0.250  0.896  0.454
Ni  0.750  0.104  0.546
Ni  0.750  0.396  0.546
O  0.250  0.057  0.341
O  0.250  0.443  0.341
O  0.250  0.681  0.122
O  0.250  0.750  0.623
O  0.250  0.819  0.122
O  0.750  0.181  0.878
O  0.750  0.250  0.377
O  0.750  0.319  0.878
O  0.750  0.557  0.659
O  0.750  0.943  0.659

---

## Li3Ti2VO6 (PBE+U)

Data for a relaxed Li3Ti2VO6 crystal.

## Properties
The formation energy comes out at -2809 meV per atom. The corrected total energy (MP2020 scheme) comes out at -7.833 eV per atom. For the calculated volume, the calculation gives 112.06 Å³ per cell.

a = 6.732 Å, b = 6.732 Å, c = 6.009 Å
α = 105.53°, β = 105.53°, γ = 25.33°
Sites, in units of the cell vectors:
Li  0.000  0.000  0.000
Li  0.334  0.334  0.672
Li  0.666  0.666  0.328
Ti  0.341  0.341  0.182
Ti  0.659  0.659  0.818
V  0.000  0.000  0.500
O  0.168  0.168  0.592
O  0.173  0.173  0.062
O  0.498  0.498  0.253
O  0.502  0.502  0.747
O  0.827  0.827  0.938
O  0.832  0.832  0.408

---

## Li2VP5O15 (PBE+U)

Data for a relaxed Li2VP5O15 crystal.

## Properties
The value obtained for the energy above the lowest structure with this stoichiometry is 5.3 meV per atom. The formation energy comes out at -2642 meV per atom. The corrected total energy (MP2020 scheme) comes out at -7.606 eV per atom. For the calculated volume, the calculation gives 644.20 Å³ per cell.

a = 5.308 Å, b = 9.634 Å, c = 13.319 Å
α = 90.00°, β = 108.93°, γ = 90.00°
Sites, in units of the cell vectors:
Li  0.000  0.097  0.000
Li  0.000  0.903  0.500
Li  0.879  0.102  0.635
Li  0.879  0.898  0.135
V  0.953  0.495  0.576
V  0.953  0.505  0.076
P  0.359  0.316  0.487
P  0.359  0.684  0.987
P  0.417  0.020  0.428
P  0.417  0.980  0.928
P  0.460  0.024  0.209
P  0.460  0.976  0.709
P  0.545  0.324  0.163
P  0.545  0.676  0.663
P  0.959  0.486  0.326
P  0.959  0.514  0.826
O  0.182  0.007  0.134
O  0.182  0.993  0.634
O  0.216  0.384  0.371
O  0.216  0.616  0.871
O  0.218  0.093  0.912
O  0.218  0.907  0.412
O  0.220  0.358  0.565
O  0.220  0.642  0.065
O  0.255  0.361  0.136
O  0.255  0.639  0.636
O  0.291  0.157  0.465
O  0.291  0.843  0.965
O  0.438  0.080  0.319
O  0.438  0.920  0.819
O  0.589  0.163  0.175
O  0.589  0.837  0.675
O  0.655  0.343  0.520
O  0.655  0.657  0.020
O  0.658  0.090  0.722
O  0.658  0.910  0.222
O  0.681  0.369  0.084
O  0.681  0.631  0.584
O  0.695  0.002  0.502
O  0.695  0.998  0.002
O  0.709  0.379  0.281
O  0.709  0.621  0.781
O  0.919  0.440  0.919
O  0.919  0.560  0.419
O  0.994  0.435  0.735
O  0.994  0.565  0.235

---

## Tb2VFeO6 (PBE+U)

Data for a relaxed Tb2VFeO6 crystal.

## Properties
The formation energy comes out at -3080 meV per atom. The corrected total energy (MP2020 scheme) comes out at -8.731 eV per atom. For the calculated volume, the calculation gives 235.08 Å³ per cell.

a = 5.361 Å, b = 5.672 Å, c = 9.404 Å
α = 90.00°, β = 124.70°, γ = 90.00°
Sites, in units of the cell vectors:
Tb  0.231  0.070  0.250
Tb  0.231  0.430  0.750
Tb  0.769  0.570  0.250
Tb  0.769  0.930  0.750
V  0.000  0.000  0.500
V  0.000  0.500  0.000
Fe  0.500  0.000  0.000
Fe  0.500  0.500  0.500
O  0.134  0.196  0.943
O  0.134  0.304  0.443
O  0.254  0.697  0.942
O  0.254  0.803  0.442
O  0.365  0.040  0.751
O  0.365  0.460  0.251
O  0.635  0.540  0.749
O  0.635  0.960  0.249
O  0.746  0.197  0.558
O  0.746  0.303  0.058
O  0.866  0.696  0.557
O  0.866  0.804  0.057

---

## K2MgCo2O4 (PBE+U)

Data for a relaxed K2MgCo2O4 crystal.

## Properties
The value obtained for the energy above the lowest structure with this stoichiometry is 82.0 meV per atom. The formation energy comes out at -1547 meV per atom. The corrected total energy (MP2020 scheme) comes out at -5.750 eV per atom. For the calculated volume, the calculation gives 140.39 Å³ per cell.

a = 6.685 Å, b = 6.685 Å, c = 8.911 Å
α = 128.52°, β = 128.52°, γ = 27.35°
Sites, in units of the cell vectors:
K  0.000  0.000  0.000
K  0.146  0.146  0.510
Mg  0.813  0.813  0.141
Co  0.336  0.336  0.410
Co  0.575  0.575  0.771
O  0.196  0.196  0.886
O  0.406  0.406  0.682
O  0.431  0.431  0.291
O  0.720  0.720  0.259

---

## Mg6SiNiO8 (PBE+U)

Data for a relaxed Mg6SiNiO8 crystal.

## Properties
The value obtained for the energy above the lowest structure with this stoichiometry is 33.7 meV per atom. The formation energy comes out at -2493 meV per atom. The corrected total energy (MP2020 scheme) comes out at -6.268 eV per atom. For the calculated volume, the calculation gives 159.03 Å³ per cell.

a = 4.298 Å, b = 4.298 Å, c = 8.608 Å
α = 90.00°, β = 90.00°, γ = 90.00°
Sites, in units of the cell vectors:
Mg  0.000  0.000  0.000
Mg  0.000  0.500  0.249
Mg  0.000  0.500  0.751
Mg  0.500  0.000  0.249
Mg  0.500  0.000  0.751
Mg  0.500  0.500  0.000
Si  0.000  0.000  0.500
Ni  0.500  0.500  0.500
O  0.000  0.000  0.243
O  0.000  0.000  0.757
O  0.000  0.500  0.000
O  0.000  0.500  0.500
O  0.500  0.000  0.000
O  0.500  0.000  0.500
O  0.500  0.500  0.248
O  0.500  0.500  0.752